#i
Li2Mn2FeO6 after structural relaxation, computed with PBE+U.

Cell and atoms, written as CIF:
```
data_Li2Mn2FeO6
_cell_length_a 8.844
_cell_length_b 5.226
_cell_length_c 10.257
_cell_angle_alpha 90.00
_cell_angle_beta 90.00
_cell_angle_gamma 90.00
_symmetry_space_group_name_H-M 'C m c e'
_symmetry_Int_Tables_number 64
_symmetry_space_group_name_Hall '-C 2ac 2'
loop_
_atom_site_label
_atom_site_type_symbol
_atom_site_fract_x
_atom_site_fract_y
_atom_site_fract_z
Li1 Li 0.250 0.098 0.250
Mn1 Mn 0.163 0.000 0.000
Fe1 Fe 0.000 0.000 0.500
O1 O 0.000 0.163 0.904
O2 O 0.177 0.157 0.606
```

Properties
- crystal system = orthorhombic

***

#ii
Li2Mn2FeO6 after structural relaxation, computed with PBE+U.

Cell and atoms, written as CIF:
```
data_Li2Mn2FeO6
_cell_length_a 6.634
_cell_length_b 6.667
_cell_length_c 8.664
_cell_angle_alpha 70.89
_cell_angle_beta 70.87
_cell_angle_gamma 82.52
_symmetry_space_group_name_H-M 'P -1'
_symmetry_Int_Tables_number 2
loop_
_symmetry_equiv_pos_as_xyz
'x,y,z'
'-x,-y,-z'
loop_
_atom_site_label
_atom_site_type_symbol
_atom_site_fract_x
_atom_site_fract_y
_atom_site_fract_z
Li1 Li 0.003 0.162 0.329
Li2 Li 0.331 0.166 0.001
Li3 Li 0.336 0.497 0.671
Mn1 Mn 0.002 0.172 0.832
Mn2 Mn 0.335 0.835 0.839
Mn3 Mn 0.337 0.164 0.499
Fe1 Fe 0.000 0.500 0.500
Fe2 Fe 0.329 0.496 0.167
O1 O 0.006 0.512 0.264
O2 O 0.022 0.860 0.912
O3 O 0.028 0.172 0.586
O4 O 0.307 0.148 0.772
O5 O 0.312 0.821 0.071
O6 O 0.327 0.470 0.415
O7 O 0.348 0.851 0.607
O8 O 0.350 0.527 0.913
O9 O 0.356 0.182 0.228
```

Properties
- crystal system = triclinic

***

#iii
Li2Mn2FeO6 after structural relaxation, computed with PBE+U.

Cell and atoms, written as CIF:
```
data_Li2Mn2FeO6
_cell_length_a 10.296
_cell_length_b 5.239
_cell_length_c 8.814
_cell_angle_alpha 90.00
_cell_angle_beta 90.00
_cell_angle_gamma 90.00
_symmetry_space_group_name_H-M 'A e a 2'
_symmetry_Int_Tables_number 41
loop_
_symmetry_equiv_pos_as_xyz
'x,y,z'
'-x,-y,z'
'-x+1/2,y+1/2,z'
'x+1/2,-y+1/2,z'
'x,y+1/2,z+1/2'
'-x,-y+1/2,z+1/2'
'-x+1/2,y,z+1/2'
'x+1/2,-y,z+1/2'
loop_
_atom_site_label
_atom_site_type_symbol
_atom_site_fract_x
_atom_site_fract_y
_atom_site_fract_z
Li1 Li 0.248 0.127 0.000
Mn1 Mn 0.000 0.000 0.587
Mn2 Mn 0.000 0.000 0.914
Fe1 Fe 0.000 0.000 0.245
O1 O 0.096 0.340 0.251
O2 O 0.099 0.328 0.923
O3 O 0.113 0.366 0.569
```

Properties
- crystal system = orthorhombic

***

Winner for stability: #ii

***

#i
Ba3MgMn3O9 after structural relaxation, computed with PBE+U.

Cell and atoms, written as CIF:
```
data_Ba3MgMn3O9
_cell_length_a 10.467
_cell_length_b 5.736
_cell_length_c 8.941
_cell_angle_alpha 90.00
_cell_angle_beta 122.41
_cell_angle_gamma 90.00
_symmetry_space_group_name_H-M 'C 1 m 1'
_symmetry_Int_Tables_number 8
loop_
_symmetry_equiv_pos_as_xyz
'x,y,z'
'x,-y,z'
'x+1/2,y+1/2,z'
'x+1/2,-y+1/2,z'
loop_
_atom_site_label
_atom_site_type_symbol
_atom_site_fract_x
_atom_site_fract_y
_atom_site_fract_z
Ba1 Ba 0.000 0.000 0.000
Ba2 Ba 0.061 0.500 0.791
Ba3 Ba 0.350 0.500 0.330
Mg1 Mg 0.149 0.500 0.525
Mn1 Mn 0.226 0.000 0.477
Mn2 Mn 0.249 0.000 0.837
Mn3 Mn 0.435 0.000 0.188
O1 O 0.041 0.000 0.716
O2 O 0.093 0.266 0.322
O3 O 0.265 0.235 0.694
O4 O 0.277 0.223 0.032
O5 O 0.408 0.000 0.410
O6 O 0.478 0.000 0.007
```

Properties
- crystal system = monoclinic

***

#ii
Ba3MgMn3O9 after structural relaxation, computed with PBE+U.

Cell and atoms, written as CIF:
```
data_Ba3MgMn3O9
_cell_length_a 10.150
_cell_length_b 5.859
_cell_length_c 8.394
_cell_angle_alpha 90.00
_cell_angle_beta 113.76
_cell_angle_gamma 90.00
_symmetry_space_group_name_H-M 'C 1 m 1'
_symmetry_Int_Tables_number 8
loop_
_symmetry_equiv_pos_as_xyz
'x,y,z'
'x,-y,z'
'x+1/2,y+1/2,z'
'x+1/2,-y+1/2,z'
loop_
_atom_site_label
_atom_site_type_symbol
_atom_site_fract_x
_atom_site_fract_y
_atom_site_fract_z
Ba1 Ba 0.000 0.000 0.000
Ba2 Ba 0.040 0.500 0.619
Ba3 Ba 0.309 0.500 0.425
Mg1 Mg 0.171 0.500 0.012
Mn1 Mn 0.157 0.000 0.471
Mn2 Mn 0.273 0.000 0.818
Mn3 Mn 0.397 0.000 0.189
O1 O 0.032 0.243 0.337
O2 O 0.074 0.000 0.660
O3 O 0.251 0.227 0.979
O4 O 0.275 0.000 0.338
O5 O 0.294 0.220 0.661
O6 O 0.478 0.000 0.980
```

Properties
- crystal system = monoclinic

***

Winner for stability: #i